Na2H16SO12 PBE-GGA optimized geometry; DFT formation energy = -1.46 eV per atom; V = 8.97 A^3/atom; SG = No. 2
1.0
8.0683 0.0000 0.0000
0.2511 8.2529 0.0000
0.5762 0.6179 8.3540
Na H S O
4 32 2 24
direct
0.0000 0.0000 0.0000 Na
0.1371 0.5938 0.8212 Na
0.5000 0.0000 0.5000 Na
0.8629 0.4062 0.1788 Na
0.0540 0.6662 0.5089 H
0.1094 0.4063 0.4042 H
0.1225 0.2581 0.7235 H
0.1440 0.1165 0.4493 H
0.1618 0.9239 0.6914 H
0.1716 0.9430 0.3891 H
0.2064 0.3022 0.1090 H
0.2496 0.2392 0.9423 H
0.2967 0.9192 0.8157 H
0.3051 0.3096 0.6539 H
0.4090 0.0864 0.1527 H
0.4193 0.6621 0.4495 H
0.4429 0.6465 0.9156 H
0.4695 0.9055 0.1748 H
0.4849 0.3328 0.3957 H
0.4982 0.4858 0.8350 H
0.5018 0.5142 0.1650 H
0.5151 0.6672 0.6043 H
0.5305 0.0945 0.8252 H
0.5571 0.3535 0.0844 H
0.5807 0.3379 0.5505 H
0.5910 0.9136 0.8473 H
0.6949 0.6904 0.3461 H
0.7033 0.0808 0.1843 H
0.7504 0.7608 0.0577 H
0.7936 0.6978 0.8910 H
0.8284 0.0570 0.6109 H
0.8382 0.0761 0.3086 H
0.8560 0.8835 0.5507 H
0.8775 0.7419 0.2765 H
0.8906 0.5937 0.5958 H
0.9460 0.3338 0.4911 H
0.2097 0.6668 0.2065 S
0.7903 0.3332 0.7935 S
0.0351 0.3125 0.4078 O
0.1060 0.8187 0.2144 O
0.1322 0.5487 0.1103 O
0.1809 0.8864 0.8035 O
0.1994 0.0095 0.4754 O
0.2192 0.3211 0.7433 O
0.2239 0.5925 0.3756 O
0.2337 0.2012 0.0573 O
0.3813 0.7042 0.1349 O
0.4438 0.5937 0.8141 O
0.4818 0.2917 0.5094 O
0.4958 0.0155 0.2022 O
0.5042 0.9845 0.7978 O
0.5182 0.7083 0.4906 O
0.5562 0.4063 0.1859 O
0.6187 0.2958 0.8651 O
0.7663 0.7988 0.9427 O
0.7761 0.4075 0.6244 O
0.7808 0.6789 0.2567 O
0.8006 0.9905 0.5246 O
0.8191 0.1136 0.1965 O
0.8678 0.4513 0.8897 O
0.8940 0.1813 0.7856 O
0.9649 0.6875 0.5922 O